[1]
# U2PS, optimized geometry, DFT meta-GGA r2SCAN
# ΔE_f, eV/atom: -1.52
# Volume, Å³/atom: 21.9
# Space-group type: P4/mmm, No. 123
# Distance to the lowest polymorph of the same formula, meV per atom: 57
# Spin magnetization, μB/f.u.: 5.08
data_U2PS
_chemical_formula_sum 'U2 P1 S1'
_symmetry_space_group_name_H-M 'P 1'
_symmetry_Int_Tables_number 1
_symmetry_space_group_name_Hall 'P 1'
_cell_length_a 3.972
_cell_length_b 3.972
_cell_length_c 5.558
_cell_angle_alpha 90.00
_cell_angle_beta 90.00
_cell_angle_gamma 90.00
loop_
_atom_site_label
_atom_site_fract_x
_atom_site_fract_y
_atom_site_fract_z
U1 0.000 0.000 0.500
U2 0.500 0.500 0.000
S1 0.500 0.500 0.500
P1 0.000 0.000 0.000



[2]
# LiMg3, optimized geometry, DFT meta-GGA r2SCAN
# ΔE_f, eV/atom: -0.03
# Volume, Å³/atom: 21.1
# Spin magnetization, μB/f.u.: 0.00
data_LiMg3
_chemical_formula_sum 'Li4 Mg12'
_symmetry_space_group_name_H-M 'P 1'
_symmetry_Int_Tables_number 1
_symmetry_space_group_name_Hall 'P 1'
_cell_length_a 6.967
_cell_length_b 6.967
_cell_length_c 6.967
_cell_angle_alpha 90.00
_cell_angle_beta 90.00
_cell_angle_gamma 90.00
loop_
_atom_site_label
_atom_site_fract_x
_atom_site_fract_y
_atom_site_fract_z
Li1 0.000 0.000 0.500
Li2 0.500 0.500 0.500
Li3 0.500 0.000 0.000
Li4 0.000 0.500 0.000
Mg1 0.500 0.500 0.000
Mg2 0.500 0.000 0.500
Mg3 0.750 0.750 0.750
Mg4 0.250 0.250 0.750
Mg5 0.250 0.750 0.250
Mg6 0.750 0.250 0.250
Mg7 0.250 0.750 0.750
Mg8 0.750 0.750 0.250
Mg9 0.250 0.250 0.250
Mg10 0.000 0.000 0.000
Mg11 0.000 0.500 0.500
Mg12 0.750 0.250 0.750



[3]
# PRu2, optimized geometry, DFT meta-GGA r2SCAN
# ΔE_f, eV/atom: -0.43
# Volume, Å³/atom: 13.2
# Space-group type: Pnma, No. 62
# Spin magnetization, μB/f.u.: 0.00
data_PRu2
_chemical_formula_sum 'P4 Ru8'
_symmetry_space_group_name_H-M 'P 1'
_symmetry_Int_Tables_number 1
_symmetry_space_group_name_Hall 'P 1'
_cell_length_a 3.866
_cell_length_b 5.844
_cell_length_c 6.997
_cell_angle_alpha 90.00
_cell_angle_beta 90.00
_cell_angle_gamma 90.00
loop_
_atom_site_label
_atom_site_fract_x
_atom_site_fract_y
_atom_site_fract_z
Ru1 0.250 0.361 0.421
Ru2 0.250 0.487 0.850
Ru3 0.750 0.513 0.150
Ru4 0.750 0.639 0.579
Ru5 0.750 0.013 0.350
Ru6 0.250 0.987 0.650
Ru7 0.750 0.139 0.921
Ru8 0.250 0.861 0.079
P1 0.750 0.750 0.889
P2 0.250 0.750 0.389
P3 0.750 0.250 0.611
P4 0.250 0.250 0.111



[4]
# NpAsS, optimized geometry, DFT meta-GGA r2SCAN
# ΔE_f, eV/atom: -1.60
# Volume, Å³/atom: 21.4
# Space-group type: P4/nmm, No. 129
# Spin magnetization, μB/f.u.: 3.88
data_NpAsS
_chemical_formula_sum 'Np2 As2 S2'
_symmetry_space_group_name_H-M 'P 1'
_symmetry_Int_Tables_number 1
_symmetry_space_group_name_Hall 'P 1'
_cell_length_a 3.888
_cell_length_b 3.888
_cell_length_c 8.494
_cell_angle_alpha 90.00
_cell_angle_beta 90.00
_cell_angle_gamma 90.00
loop_
_atom_site_label
_atom_site_fract_x
_atom_site_fract_y
_atom_site_fract_z
As1 0.500 0.500 0.000
As2 0.000 0.000 0.000
S1 0.000 0.500 0.369
S2 0.500 0.000 0.631
Np1 0.000 0.500 0.714
Np2 0.500 0.000 0.286



[5]
# Li2Mg, optimized geometry, DFT meta-GGA r2SCAN
# ΔE_f, eV/atom: -0.03
# Volume, Å³/atom: 20.2
# Space-group type: C2/m, No. 12
# Spin magnetization, μB/f.u.: 0.01
data_Li2Mg
_chemical_formula_sum 'Li4 Mg2'
_symmetry_space_group_name_H-M 'P 1'
_symmetry_Int_Tables_number 1
_symmetry_space_group_name_Hall 'P 1'
_cell_length_a 3.310
_cell_length_b 5.744
_cell_length_c 7.017
_cell_angle_alpha 72.47
_cell_angle_beta 90.00
_cell_angle_gamma 106.75
loop_
_atom_site_label
_atom_site_fract_x
_atom_site_fract_y
_atom_site_fract_z
Li1 0.357 0.714 0.279
Li2 0.026 0.052 0.430
Li3 0.699 0.397 0.110
Li4 0.029 0.059 0.959
Mg1 0.369 0.738 0.778
Mg2 0.686 0.373 0.611



[6]
# NdSF, optimized geometry, DFT meta-GGA r2SCAN
# ΔE_f, eV/atom: -3.35
# Volume, Å³/atom: 17.9
# Space-group type: P4/nmm, No. 129
# Spin magnetization, μB/f.u.: 0.00
data_NdSF
_chemical_formula_sum 'Nd2 S2 F2'
_symmetry_space_group_name_H-M 'P 1'
_symmetry_Int_Tables_number 1
_symmetry_space_group_name_Hall 'P 1'
_cell_length_a 3.942
_cell_length_b 3.942
_cell_length_c 6.929
_cell_angle_alpha 90.00
_cell_angle_beta 90.00
_cell_angle_gamma 90.00
loop_
_atom_site_label
_atom_site_fract_x
_atom_site_fract_y
_atom_site_fract_z
Nd1 0.750 0.750 0.772
Nd2 0.250 0.250 0.228
F1 0.250 0.750 0.000
F2 0.750 0.250 0.000
S1 0.750 0.750 0.351
S2 0.250 0.250 0.649



Q: Which of these has the highest volume?
A: U2PS



Q: Number 5 is which compound?
A: Li2Mg



Q: What is the spin magnetization in the sixth record?
A: 0.00 μB/f.u.